The following is a DFT calculation (r²SCAN) of a geometry-optimized K2Mn3S4 structure.

```
data_K2Mn3S4
_chemical_formula_sum 'K4 Mn6 S8'
_space_group_name_H-M_alt 'P 1 2/c 1'
_space_group_IT_number 13
_cell_length_a 7.2714
_cell_length_b 5.9895
_cell_length_c 11.0541
_cell_angle_alpha 90.00
_cell_angle_beta 112.29
_cell_angle_gamma 90.00
loop_
_space_group_symop_operation_xyz
'x,y,z'
'-x,-y,-z'
'-x,y,-z+1/2'
'x,-y,z+1/2'
loop_
_atom_site_label
_atom_site_type_symbol
_atom_site_fract_x
_atom_site_fract_y
_atom_site_fract_z
K1 K 0.0000 0.0000 0.0000
K2 K 0.0000 0.4953 0.2500
Mn1 Mn 0.4991 0.2501 0.0302
Mn2 Mn 0.5000 0.2489 0.7500
S1 S 0.2887 0.0318 0.8317
S2 S 0.2885 0.4661 0.5627
```

Summary:
E_form ... -1.23 eV per atom
Crystal system ... monoclinic
M_tot ... 1.667 μB per atom